No. 1
20
Lattice="8.315 0.000 0.000 0.000 5.988 0.000 0.000 0.000 5.670" Properties=species:S:1:pos:R:3 comment="CaHoSb2O6 PBE-GGA relaxed" energy_corrected_mp2020_ev_per_atom=-6.983 ef_ev_per_atom=-2.530 final_energy_ev_per_atom=-6.57 pbc="T T T"
Ca 0.000 1.189 0.000
Ca 4.158 4.799 2.835
Ho 0.000 4.092 3.047
Ho 4.158 1.896 0.212
Sb 2.077 1.474 2.893
Sb 2.081 4.514 0.058
Sb 6.239 1.474 2.893
Sb 6.235 4.514 0.058
O 0.000 1.933 2.187
O 0.000 4.858 0.929
O 1.464 2.736 4.576
O 1.504 5.547 3.870
O 2.653 0.441 1.035
O 2.694 3.252 1.741
O 4.158 1.131 3.764
O 4.158 4.055 5.022
O 5.622 3.252 1.741
O 5.662 0.441 1.035
O 6.811 5.547 3.870
O 6.852 2.736 4.576

=====

No. 2
4
Lattice="1.795 1.036 6.491 -1.795 1.036 6.491 0.000 -2.073 6.491" Properties=species:S:1:pos:R:3 comment="EuTlO2 PBE-GGA relaxed" energy_corrected_mp2020_ev_per_atom=-7.848 ef_ev_per_atom=-2.219 final_energy_ev_per_atom=-7.50 pbc="T T T"
Eu 0.000 0.000 0.000
Tl 0.000 0.000 9.736
O 0.000 0.000 5.355
O 0.000 0.000 14.117

=====

No. 3
128
Lattice="12.005 0.000 0.000 0.000 12.005 0.000 0.000 0.000 12.005" Properties=species:S:1:pos:R:3 comment="Na6Zn3P4O19 PBE-GGA relaxed" energy_corrected_mp2020_ev_per_atom=-6.078 ef_ev_per_atom=-2.097 final_energy_ev_per_atom=-5.67 pbc="T T T"
Na 0.058 2.957 2.043
Na 0.106 9.016 11.092
Na 0.914 6.108 8.992
Na 2.043 0.058 2.957
Na 2.957 2.043 0.058
Na 2.989 5.089 5.897
Na 3.013 6.916 11.900
Na 3.046 9.962 6.060
Na 3.960 11.948 8.959
Na 5.089 5.897 2.989
Na 5.897 2.989 5.089
Na 5.945 9.049 8.046
Na 6.060 3.046 9.962
Na 6.108 8.992 0.914
Na 6.916 11.900 3.013
Na 8.046 5.945 9.049
Na 8.959 3.960 11.948
Na 8.992 0.914 6.108
Na 9.016 11.092 0.106
Na 9.049 8.046 5.945
Na 9.962 6.060 3.046
Na 11.092 0.106 9.016
Na 11.900 3.013 6.916
Na 11.948 8.959 3.960
Zn 0.050 3.141 10.492
Zn 1.514 6.053 2.862
Zn 2.862 1.514 6.053
Zn 3.141 10.492 0.050
Zn 4.489 5.953 8.864
Zn 5.953 8.864 4.489
Zn 6.053 2.862 1.514
Zn 7.516 11.955 9.144
Zn 8.864 4.489 5.953
Zn 9.144 7.516 11.955
Zn 10.492 0.050 3.141
Zn 11.955 9.144 7.516
P 0.216 11.789 5.787
P 0.348 0.348 0.348
P 2.628 8.630 9.378
P 2.792 3.210 8.795
P 3.210 8.795 2.792
P 3.375 3.375 3.375
P 5.654 11.657 6.351
P 5.787 0.216 11.789
P 6.219 6.219 6.219
P 6.351 5.654 11.657
P 8.630 9.378 2.628
P 8.795 2.792 3.210
P 9.213 9.213 9.213
P 9.378 2.628 8.630
P 11.657 6.351 5.654
P 11.789 5.787 0.216
O 0.017 8.890 1.525
O 0.251 6.618 4.232
O 0.534 5.468 6.537
O 0.574 5.135 1.405
O 0.616 1.771 11.754
O 0.655 6.658 11.350
O 0.868 10.600 6.577
O 1.150 8.509 8.881
O 1.405 0.574 5.135
O 1.525 0.017 8.890
O 1.640 3.908 9.601
O 1.771 11.754 0.616
O 2.095 2.405 7.643
O 2.331 9.675 3.672
O 2.405 7.643 2.095
O 2.495 2.495 2.495
O 2.506 9.128 10.855
O 2.887 4.478 11.988
O 2.878 4.853 3.497
O 3.125 7.153 9.500
O 3.116 7.528 5.986
O 3.497 2.878 4.853
O 3.508 9.511 8.497
O 3.598 4.363 8.098
O 3.672 2.331 9.675
O 3.908 9.601 1.640
O 4.232 0.251 6.618
O 4.363 8.098 3.598
O 4.478 11.988 2.887
O 4.598 11.431 11.138
O 4.853 3.497 2.878
O 5.135 1.405 0.574
O 5.348 5.348 5.348
O 5.387 10.235 5.752
O 5.429 6.870 7.408
O 5.468 6.537 0.534
O 5.752 5.387 10.235
O 5.986 3.116 7.528
O 6.020 9.118 10.480
O 6.254 11.390 7.773
O 6.537 0.534 5.468
O 6.577 0.868 10.600
O 6.618 4.232 0.251
O 6.658 11.350 0.655
O 6.870 7.408 5.429
O 7.153 9.500 3.125
O 7.408 5.429 6.870
O 7.528 5.986 3.116
O 7.643 2.095 2.405
O 7.773 6.254 11.390
O 8.098 3.598 4.363
O 8.334 8.334 8.334
O 8.407 10.366 9.910
O 8.497 3.508 9.511
O 8.509 8.881 1.150
O 8.881 1.150 8.509
O 8.890 1.525 0.017
O 9.118 10.480 6.020
O 9.128 10.855 2.506
O 9.500 3.125 7.153
O 9.511 8.497 3.508
O 9.601 1.640 3.908
O 9.675 3.672 2.331
O 9.910 8.407 10.366
O 10.235 5.752 5.387
O 10.366 9.910 8.407
O 10.480 6.020 9.118
O 10.600 6.577 0.868
O 10.855 2.506 9.128
O 11.138 4.598 11.431
O 11.350 0.655 6.658
O 11.390 7.773 6.254
O 11.431 11.138 4.598
O 11.471 11.471 11.471
O 11.754 0.616 1.771
O 11.988 2.887 4.478

=====

No. 4
14
Lattice="-5.599 5.599 2.373 5.599 -5.599 2.373 5.599 5.599 -2.373" Properties=species:S:1:pos:R:3 comment="CoHgC4S4N4 PBE-GGA relaxed" energy_corrected_mp2020_ev_per_atom=-6.760 piezo_max_c_m2=0.09 ef_ev_per_atom=-0.030 final_energy_ev_per_atom=-6.51 pbc="T T T"
Co 0.000 0.000 0.000
Hg 0.000 5.599 1.186
C 6.443 3.133 -0.705
C -0.844 2.466 1.668
C 3.133 4.756 0.705
C 2.466 0.844 3.078
S 6.919 1.829 0.158
S 1.829 4.280 -0.158
S 3.770 1.320 2.214
S -1.320 3.770 2.531
N 6.124 4.096 -1.310
N -0.524 1.504 1.063
N 4.096 5.075 1.310
N 1.504 0.524 3.683

=====

No. 5
12
Lattice="3.676 -4.691 0.000 3.676 4.691 0.000 0.000 0.000 3.648" Properties=species:S:1:pos:R:3 comment="UB4W PBE-GGA relaxed" ef_ev_per_atom=-0.503 final_energy_ev_per_atom=-9.00 pbc="T T T"
U 3.676 2.824 0.000
U 3.676 -2.824 0.000
B 2.029 1.499 1.824
B 0.871 0.000 1.824
B 3.676 0.878 1.824
B 2.029 -1.499 1.824
B 5.324 1.499 1.824
B 3.676 -0.878 1.824
B 6.482 0.000 1.824
B 5.324 -1.499 1.824
W 2.336 0.000 0.000
W 5.017 0.000 0.000

=====

No. 6
48
Lattice="-8.499 8.499 17.338 8.499 -8.499 17.338 8.499 8.499 -17.338" Properties=species:S:1:pos:R:3 comment="CeSe2 PBE-GGA relaxed" energy_corrected_mp2020_ev_per_atom=-5.708 ef_ev_per_atom=-1.400 final_energy_ev_per_atom=-5.39 pbc="T T T"
Ce 5.798 1.736 1.839
Ce 11.200 1.736 1.839
Ce 5.986 1.549 6.830
Ce 11.013 1.549 6.830
Ce 5.986 10.048 -6.830
Ce 2.514 1.549 10.508
Ce 5.798 6.763 1.839
Ce 2.701 -1.736 19.177
Ce 5.798 10.235 -1.839
Ce 2.701 1.736 15.499
Ce 5.986 6.951 6.830
Ce 2.514 -1.549 24.168
Ce -2.514 6.951 10.508
Ce 2.514 6.951 10.508
Ce -2.701 6.763 15.499
Ce 2.701 6.763 15.499
Se 4.797 0.000 0.000
Se 12.202 0.000 0.000
Se 8.499 1.808 1.675
Se 5.142 0.892 4.335
Se 11.857 0.892 4.335
Se 8.499 0.608 7.278
Se 4.250 9.046 -8.669
Se 4.250 0.547 8.669
Se 4.858 4.250 1.391
Se 12.141 4.250 1.391
Se 0.000 0.608 10.060
Se 5.142 9.392 -4.335
Se 3.357 0.892 13.004
Se 8.499 6.691 1.675
Se 6.058 4.250 6.994
Se 10.941 4.250 6.994
Se 4.797 8.499 0.000
Se 3.703 0.000 17.338
Se -2.441 4.250 10.345
Se 2.441 4.250 10.345
Se 0.000 1.808 15.663
Se 5.142 7.607 4.335
Se 3.357 -0.892 21.673
Se 8.499 7.891 7.278
Se -3.642 4.250 15.947
Se 3.642 4.250 15.947
Se -4.250 7.953 8.669
Se 4.250 7.953 8.669
Se 0.000 7.891 10.060
Se -3.357 7.607 13.004
Se 3.357 7.607 13.004
Se 0.000 6.691 15.663